[1]
The following is a DFT calculation (PBE) of a relaxed structure of Li5BiS4.

## Properties
Its total magnetic moment is 0.000 μB per formula unit. The total energy comes out at -80.0 eV/cell. The volume is 418.26 Å³/cell. The calculated formation energy is -27.7 kcal/mol of atoms.

Cell lengths 7.842, 9.227, 5.781 Å; angles 90.00, 90.00, 90.00 degrees
Space group Pmmn (No. 59, origin choice 2)
Unique sites:
Li 0.013 0.048 0.242 (multiplicity 8)
Li 0.250 0.750 0.233 (multiplicity 2)
Bi 0.250 0.250 0.809 (multiplicity 2)
S 0.000 0.250 0.517 (multiplicity 4)
S 0.250 0.531 0.990 (multiplicity 4)

=====

[2]
The following is a DFT calculation (PBE) of a relaxed structure of Li2BiS3.

## Properties
Its total magnetic moment is 0.000 μB per formula unit. The total energy comes out at -49.0 eV/cell. The volume is 254.07 Å³/cell. The calculated formation energy is -22.7 kcal/mol of atoms.

Cell lengths 5.489, 6.469, 7.810 Å; angles 92.24, 100.40, 110.43 degrees
Space group P-1 (No. 2)
Unique sites:
Li 0.105 0.438 0.189 (multiplicity 2)
Li 0.142 0.257 0.551 (multiplicity 2)
Bi 0.462 0.027 0.247 (multiplicity 2)
S 0.035 0.941 0.749 (multiplicity 2)
S 0.350 0.696 0.454 (multiplicity 2)
S 0.374 0.589 0.971 (multiplicity 2)

=====

[3]
The following is a DFT calculation (PBE) of a relaxed structure of Li5BiS4.

## Properties
Its total magnetic moment is 0.001 μB per formula unit. The total energy comes out at -160.5 eV/cell. The volume is 751.00 Å³/cell. The calculated formation energy is -28.1 kcal/mol of atoms.

Cell lengths 7.654, 12.591, 7.793 Å; angles 90.00, 90.00, 90.00 degrees
Space group Cmc2_1 (No. 36)
Unique sites:
Li 0.000 0.142 0.000 (multiplicity 4)
Li 0.179 0.060 0.395 (multiplicity 8)
Li 0.209 0.371 0.183 (multiplicity 8)
Bi 0.000 0.332 0.614 (multiplicity 4)
S 0.000 0.022 0.669 (multiplicity 4)
S 0.000 0.478 0.986 (multiplicity 4)
S 0.246 0.253 0.428 (multiplicity 8)

=====

[4]
The following is a DFT calculation (PBE) of a relaxed structure of LiBiS2.

## Properties
The total energy comes out at -67.9 eV/cell. The volume is 350.95 Å³/cell. The calculated formation energy is -22.5 kcal/mol of atoms.

Cell lengths 5.579, 5.579, 11.276 Å; angles 90.00, 90.00, 90.00 degrees
Space group I4_1/amd (No. 141, origin choice 2)
Unique sites:
Li 0.000 0.250 0.375 (multiplicity 4)
Bi 0.000 0.250 0.875 (multiplicity 4)
S 0.000 0.250 0.126 (multiplicity 8)